# CaZr3SiS5O24 | the Materials Project | PBE | relaxed
# E_form = -2.634 eV/atom
data_CaZr3SiS5O24
_chemical_formula_sum 'Ca3 Zr9 Si3 S15 O72'
_cell_length_a 9.0962
_cell_length_b 9.0979
_cell_length_c 23.3818
_cell_angle_alpha 89.78
_cell_angle_beta 89.61
_cell_angle_gamma 60.05
_space_group_name_H-M_alt 'P 1'
_space_group_IT_number 1
loop_
_space_group_symop_operation_xyz
'x,y,z'
loop_
_atom_site_label
_atom_site_fract_x
_atom_site_fract_y
_atom_site_fract_z
Ca1 0.0000 0.0000 0.0000
Ca2 0.0028 0.9937 0.4972
Ca3 0.3354 0.3279 0.6678
Zr1 0.0020 0.9882 0.2839
Zr2 0.0065 0.0028 0.7920
Zr3 0.3281 0.3273 0.9553
Zr4 0.3369 0.3281 0.4549
Zr5 0.3438 0.3276 0.1699
Zr6 0.6591 0.6680 0.3272
Zr7 0.6614 0.6721 0.1234
Zr8 0.6701 0.6610 0.6203
Zr9 0.6753 0.6561 0.8350
Si1 0.0052 0.2834 0.8955
Si2 0.3823 0.6609 0.2267
Si3 0.6690 0.9478 0.2262
S1 0.0025 0.7001 0.3937
S2 0.0458 0.3305 0.5611
S3 0.0489 0.6099 0.0619
S4 0.2937 0.7020 0.8932
S5 0.2953 0.9951 0.3940
S6 0.3392 0.0407 0.0617
S7 0.3401 0.6146 0.5610
S8 0.3830 0.9420 0.7278
S9 0.6201 0.3314 0.0612
S10 0.6231 0.0370 0.5610
S11 0.6737 0.3738 0.7280
S12 0.7113 0.2874 0.3939
S13 0.7113 0.9954 0.8933
S14 0.9513 0.6670 0.7277
S15 0.9562 0.3737 0.2269
O1 0.0184 0.1887 0.5517
O2 0.0308 0.7759 0.0546
O3 0.0338 0.1623 0.8370
O4 0.0361 0.7788 0.3429
O5 0.1168 0.5172 0.7215
O6 0.1263 0.3534 0.2180
O7 0.1279 0.3606 0.5091
O8 0.1341 0.5019 0.0091
O9 0.1469 0.3066 0.6118
O10 0.1556 0.5226 0.1120
O11 0.1604 0.5267 0.4032
O12 0.1733 0.3065 0.9032
O13 0.1832 0.7827 0.8415
O14 0.1871 0.0275 0.3433
O15 0.1940 0.0181 0.0557
O16 0.1979 0.7835 0.5516
O17 0.1982 0.8294 0.2394
O18 0.2139 0.9522 0.7349
O19 0.2243 0.9649 0.4454
O20 0.2251 0.8040 0.9439
O21 0.3151 0.5373 0.6119
O22 0.3157 0.1498 0.4036
O23 0.3161 0.5296 0.9003
O24 0.3182 0.1475 0.1118
O25 0.3549 0.5002 0.2164
O26 0.3616 0.1095 0.7211
O27 0.3659 0.1230 0.0090
O28 0.3699 0.5030 0.5093
O29 0.4648 0.6809 0.8803
O30 0.4665 0.8338 0.6757
O31 0.4683 0.8473 0.3847
O32 0.4747 0.6888 0.1711
O33 0.4887 0.8575 0.7783
O34 0.4981 0.8718 0.0670
O35 0.5000 0.6273 0.5690
O36 0.5025 0.1315 0.2159
O37 0.5017 0.6278 0.2829
O38 0.5122 0.1186 0.5093
O39 0.5127 0.3572 0.0095
O40 0.5257 0.3555 0.7219
O41 0.5302 0.3122 0.1122
O42 0.5358 0.3063 0.4036
O43 0.5417 0.1488 0.9007
O44 0.5457 0.1382 0.6119
O45 0.6364 0.4847 0.0689
O46 0.6361 0.8640 0.5690
O47 0.6436 0.8566 0.2827
O48 0.6513 0.4822 0.7783
O49 0.6833 0.8497 0.8802
O50 0.6871 0.4585 0.3841
O51 0.7015 0.4553 0.6758
O52 0.7046 0.8250 0.1709
O53 0.7845 0.1797 0.0569
O54 0.7883 0.1780 0.3431
O55 0.7926 0.0095 0.5516
O56 0.7954 0.0210 0.8414
O57 0.8107 0.2147 0.4452
O58 0.8151 0.9554 0.9437
O59 0.8289 0.2034 0.7356
O60 0.8322 0.9726 0.2390
O61 0.8425 0.6908 0.6758
O62 0.8456 0.4724 0.8782
O63 0.8496 0.4495 0.1759
O64 0.8595 0.6707 0.3831
O65 0.8637 0.6449 0.7783
O66 0.8730 0.4906 0.5690
O67 0.8798 0.4797 0.2786
O68 0.8817 0.6193 0.0680
O69 0.9632 0.2093 0.9493
O70 0.9644 0.8216 0.7358
O71 0.9721 0.8015 0.4448
O72 0.9755 0.2036 0.2372